Compound: LiVF3
Source: the Materials Project database
Functional: PBE+U
Structure: relaxed

Cell: 3.270 5.620 6.701 Å, 90.00 104.08 90.00°
Fractional coordinates of all 10 atoms:
Li 0.056 0.250 0.128
Li 0.944 0.750 0.872
V 0.332 0.250 0.667
V 0.668 0.750 0.333
F 0.166 0.503 0.329
F 0.166 0.997 0.329
F 0.484 0.250 0.985
F 0.516 0.750 0.015
F 0.834 0.003 0.671
F 0.834 0.497 0.671

Values from the calculation:
Its formation energy is -14.9 eV/f.u. Its volume is 11.9 Å³/atom. As for the crystal system: monoclinic. As for the space-group type: P2_1/m. As for the calculated total energy: -28.58 eV per formula unit.